(1)
Material: Na2CeO3
Method: DFT, PBE
State: relaxed

Summary:
Magnetic moment ... 0.00 μB/cell
Uncorrected energy ... -6.2635 eV/atom

a = 7.149 Å, b = 7.149 Å, c = 19.003 Å
α = 81.68°, β = 81.68°, γ = 98.72°
Fractional positions:
O1 0.866 0.339 0.802
O2 0.323 0.467 0.381
O3 0.798 0.970 0.216
O4 0.661 0.134 0.698
O5 0.202 0.030 0.784
O6 0.221 0.048 0.133
O7 0.198 0.989 0.456
O8 0.779 0.952 0.867
O9 0.122 0.599 0.543
O10 0.527 0.720 0.792
O11 0.970 0.798 0.716
O12 0.518 0.698 0.465
O13 0.625 0.164 0.370
O14 0.302 0.482 0.035
O15 0.473 0.280 0.208
O16 0.048 0.221 0.633
O17 0.952 0.779 0.367
O18 0.533 0.677 0.119
O19 0.280 0.473 0.708
O20 0.339 0.866 0.302
O21 0.164 0.625 0.870
O22 0.467 0.323 0.881
O23 0.878 0.401 0.457
O24 0.836 0.375 0.130
O25 0.677 0.533 0.619
O26 0.030 0.202 0.284
O27 0.698 0.518 0.965
O28 0.989 0.198 0.956
O29 0.134 0.661 0.198
O30 0.802 0.011 0.544
O31 0.482 0.302 0.535
O32 0.375 0.836 0.630
O33 0.599 0.122 0.043
O34 0.720 0.527 0.292
O35 0.011 0.802 0.044
O36 0.401 0.878 0.957
Na1 0.646 0.840 0.333
Na2 0.824 0.684 0.162
Na3 0.579 0.421 0.750
Na4 0.724 0.834 0.009
Na5 0.483 0.034 0.826
Na6 0.354 0.160 0.667
Na7 0.166 0.276 0.491
Na8 0.316 0.176 0.338
Na9 0.517 0.966 0.174
Na10 0.421 0.579 0.250
Na11 0.276 0.166 0.991
Na12 0.927 0.100 0.087
Na13 0.176 0.316 0.838
Na14 0.034 0.483 0.326
Na15 0.840 0.646 0.833
Na16 0.684 0.824 0.662
Na17 0.100 0.927 0.587
Na18 0.500 0.000 0.500
Na19 0.900 0.073 0.413
Na20 0.834 0.724 0.509
Na21 0.160 0.354 0.167
Na22 0.073 0.900 0.913
Na23 0.000 0.500 0.000
Na24 0.966 0.517 0.674
Ce1 0.744 0.256 0.250
Ce2 0.730 0.215 0.921
Ce3 0.442 0.615 0.913
Ce4 0.385 0.558 0.587
Ce5 0.785 0.270 0.579
Ce6 0.256 0.744 0.750
Ce7 0.215 0.730 0.421
Ce8 0.615 0.442 0.413
Ce9 0.082 0.918 0.250
Ce10 0.270 0.785 0.079
Ce11 0.918 0.082 0.750
Ce12 0.558 0.385 0.087


(2)
Material: NaSr3CeP3O13
Method: DFT, PBE
State: relaxed

Summary:
Magnetic moment ... 0.30 μB/cell
Uncorrected energy ... -7.1962 eV/atom

a = 9.774 Å, b = 9.774 Å, c = 7.183 Å
α = 90.00°, β = 90.00°, γ = 120.00°
Fractional positions:
Sr1 0.016 0.247 0.754
Sr2 0.231 0.984 0.754
Sr3 0.753 0.769 0.754
Sr4 0.247 0.231 0.246
Sr5 0.769 0.016 0.246
Sr6 0.984 0.753 0.246
O1 0.049 0.312 0.098
O2 0.460 0.870 0.226
O3 0.893 0.618 0.562
O4 0.502 0.853 0.715
O5 0.688 0.737 0.098
O6 0.000 0.000 0.310
O7 0.352 0.498 0.715
O8 0.853 0.352 0.285
O9 0.000 0.000 0.690
O10 0.147 0.648 0.715
O11 0.275 0.893 0.438
O12 0.870 0.410 0.774
O13 0.312 0.263 0.902
O14 0.498 0.147 0.285
O15 0.410 0.540 0.226
O16 0.648 0.502 0.285
O17 0.130 0.590 0.226
O18 0.263 0.951 0.098
O19 0.951 0.688 0.902
O20 0.737 0.049 0.902
O21 0.382 0.275 0.562
O22 0.107 0.382 0.438
O23 0.590 0.460 0.774
O24 0.725 0.107 0.562
O25 0.618 0.725 0.438
O26 0.540 0.130 0.774
P1 0.968 0.592 0.742
P2 0.032 0.408 0.258
P3 0.376 0.968 0.258
P4 0.408 0.376 0.742
P5 0.592 0.624 0.258
P6 0.624 0.032 0.742
Ce1 0.667 0.333 0.521
Ce2 0.333 0.667 0.479
Na1 0.667 0.333 0.021
Na2 0.333 0.667 0.979


(3)
Material: NaCeS2O9
Method: DFT, PBE
State: relaxed

Summary:
Magnetic moment ... 3.06 μB/cell
Uncorrected energy ... -6.4099 eV/atom

a = 6.990 Å, b = 6.990 Å, c = 13.067 Å
α = 90.00°, β = 90.00°, γ = 120.00°
Fractional positions:
S1 0.984 0.441 0.424
S2 0.016 0.457 0.909
S3 0.543 0.559 0.242
S4 0.559 0.543 0.758
S5 0.457 0.016 0.091
S6 0.441 0.984 0.576
O1 0.135 0.642 0.835
O2 0.248 0.827 0.638
O3 0.624 0.119 0.649
O4 0.872 0.872 0.000
O5 0.358 0.493 0.168
O6 0.505 0.881 0.017
O7 0.119 0.624 0.351
O8 0.579 0.752 0.304
O9 0.493 0.358 0.832
O10 0.000 0.128 0.667
O11 0.752 0.579 0.696
O12 0.173 0.421 0.971
O13 0.507 0.865 0.502
O14 0.881 0.505 0.983
O15 0.609 0.739 0.821
O16 0.130 0.391 0.488
O17 0.865 0.507 0.498
O18 0.128 0.000 0.333
O19 0.261 0.870 0.154
O20 0.870 0.261 0.846
O21 0.642 0.135 0.165
O22 0.421 0.173 0.029
O23 0.391 0.130 0.512
O24 0.827 0.248 0.362
O25 0.739 0.609 0.179
O26 0.495 0.376 0.316
O27 0.376 0.495 0.684
Ce1 0.575 0.575 0.000
Ce2 0.000 0.425 0.667
Ce3 0.425 0.000 0.333
Na1 0.530 0.530 0.500
Na2 0.470 0.000 0.833
Na3 0.000 0.470 0.167


(4)
Material: Na4Ce2Si12O33
Method: DFT, PBE
State: relaxed

Summary:
Magnetic moment ... 6.00 μB/cell
Uncorrected energy ... -7.2560 eV/atom

a = 7.110 Å, b = 7.519 Å, c = 15.317 Å
α = 90.00°, β = 90.00°, γ = 90.00°
Fractional positions:
Si1 0.747 0.709 0.100
Si2 0.747 0.709 0.900
Si3 0.484 0.000 0.158
Si4 0.593 0.000 0.357
Si5 0.747 0.291 0.100
Si6 0.593 0.000 0.643
Si7 0.747 0.291 0.900
Si8 0.290 0.296 0.600
Si9 0.290 0.704 0.600
Si10 0.290 0.296 0.400
Si11 0.484 0.000 0.842
Si12 0.290 0.704 0.400
O1 0.363 0.500 0.615
O2 0.123 0.757 0.668
O3 0.123 0.757 0.332
O4 0.900 0.223 0.830
O5 0.701 0.500 0.878
O6 0.549 0.180 0.107
O7 0.123 0.243 0.668
O8 0.549 0.180 0.893
O9 0.479 0.825 0.391
O10 0.479 0.175 0.391
O11 0.919 0.500 0.383
O12 0.919 0.500 0.617
O13 0.808 0.000 0.610
O14 0.609 0.000 0.250
O15 0.827 0.724 0.000
O16 0.479 0.175 0.609
O17 0.549 0.820 0.107
O18 0.264 0.000 0.182
O19 0.123 0.243 0.332
O20 0.900 0.223 0.170
O21 0.808 0.000 0.390
O22 0.182 0.000 0.000
O23 0.701 0.500 0.122
O24 0.900 0.777 0.830
O25 0.549 0.820 0.893
O26 0.479 0.825 0.609
O27 0.900 0.777 0.170
O28 0.209 0.728 0.500
O29 0.609 0.000 0.750
O30 0.827 0.276 0.000
O31 0.209 0.272 0.500
O32 0.363 0.500 0.385
O33 0.264 0.000 0.818
Na1 0.007 0.500 0.239
Na2 0.872 0.771 0.500
Na3 0.872 0.229 0.500
Na4 0.007 0.500 0.761
Ce1 0.998 0.000 0.747
Ce2 0.998 0.000 0.253


(5)
Material: Na3Ce4Ti2Si2O24
Method: DFT, PBE
State: relaxed

Summary:
Magnetic moment ... 5.00 μB/cell
Uncorrected energy ... -7.2377 eV/atom

a = 5.000 Å, b = 7.496 Å, c = 13.886 Å
α = 77.65°, β = 78.33°, γ = 70.32°
Fractional positions:
O1 0.993 0.416 0.142
O2 0.853 0.165 0.390
O3 0.527 0.869 0.967
O4 0.061 0.769 0.309
O5 0.386 0.735 0.595
O6 0.309 0.137 0.480
O7 0.099 0.289 0.972
O8 0.354 0.334 0.641
O9 0.560 0.262 0.063
O10 0.344 0.650 0.148
O11 0.683 0.569 0.807
O12 0.411 0.994 0.314
O13 0.815 0.127 0.847
O14 0.989 0.538 0.492
O15 0.315 0.750 0.504
O16 0.767 0.805 0.146
O17 0.095 0.062 0.814
O18 0.759 0.923 0.601
O19 0.241 0.366 0.314
O20 0.187 0.046 0.136
O21 0.642 0.598 0.313
O22 0.878 0.645 0.778
O23 0.633 0.318 0.613
O24 0.122 0.684 0.968
Ce1 0.015 0.956 0.000
Ce2 0.427 0.420 0.457
Ce3 0.765 0.850 0.476
Ce4 0.690 0.584 0.016
Si1 0.185 0.164 0.374
Si2 0.234 0.254 0.076
Ti1 0.398 0.819 0.231
Ti2 0.004 0.600 0.234
Na1 0.351 0.309 0.816
Na2 0.713 0.193 0.226
Na3 0.089 0.047 0.641


(6)
Material: NaCeTi4O12
Method: DFT, PBE
State: relaxed

Summary:
Magnetic moment ... 3.00 μB/cell
Uncorrected energy ... -7.9984 eV/atom

a = 5.400 Å, b = 5.400 Å, c = 7.799 Å
α = 90.00°, β = 90.00°, γ = 90.42°
Fractional positions:
Ce1 0.523 0.477 0.500
O1 0.759 0.241 0.302
O2 0.979 0.447 0.000
O3 0.207 0.793 0.787
O4 0.461 0.936 0.500
O5 0.711 0.710 0.277
O6 0.290 0.289 0.723
O7 0.207 0.793 0.213
O8 0.064 0.539 0.500
O9 0.759 0.241 0.698
O10 0.553 0.021 0.000
O11 0.711 0.710 0.723
O12 0.290 0.289 0.277
Ti1 0.494 0.989 0.235
Ti2 0.011 0.506 0.765
Ti3 0.011 0.506 0.235
Ti4 0.494 0.989 0.765
Na1 0.988 0.012 0.000


(7)
Material: NaCeP2Se6
Method: DFT, PBE
State: relaxed

Summary:
Magnetic moment ... 4.00 μB/cell
Uncorrected energy ... -4.6501 eV/atom

a = 7.790 Å, b = 11.818 Å, c = 12.289 Å
α = 68.44°, β = 90.00°, γ = 90.00°
Fractional positions:
Ce1 0.893 0.411 0.343
Ce2 0.607 0.911 0.343
Ce3 0.107 0.589 0.657
Ce4 0.393 0.089 0.657
P1 0.887 0.751 0.195
P2 0.401 0.252 0.320
P3 0.613 0.251 0.195
P4 0.901 0.248 0.680
P5 0.099 0.752 0.320
P6 0.599 0.748 0.680
P7 0.113 0.249 0.805
P8 0.387 0.749 0.805
Se1 0.807 0.437 0.592
Se2 0.204 0.059 0.884
Se3 0.680 0.645 0.311
Se4 0.004 0.345 0.911
Se5 0.504 0.155 0.089
Se6 0.307 0.063 0.408
Se7 0.796 0.941 0.116
Se8 0.496 0.845 0.911
Se9 0.193 0.563 0.408
Se10 0.296 0.559 0.884
Se11 0.028 0.183 0.551
Se12 0.706 0.126 0.793
Se13 0.693 0.937 0.592
Se14 0.472 0.683 0.551
Se15 0.996 0.655 0.089
Se16 0.206 0.374 0.207
Se17 0.528 0.317 0.449
Se18 0.294 0.874 0.207
Se19 0.320 0.355 0.689
Se20 0.972 0.817 0.449
Se21 0.820 0.145 0.311
Se22 0.794 0.626 0.793
Se23 0.704 0.441 0.116
Se24 0.180 0.855 0.689
Na1 0.892 0.877 0.859
Na2 0.608 0.377 0.859
Na3 0.392 0.623 0.141
Na4 0.108 0.123 0.141


(8)
Material: NaCeS2
Method: DFT, PBE
State: relaxed

Summary:
Uncorrected energy ... -5.6299 eV/atom

a = 7.097 Å, b = 7.097 Å, c = 7.097 Å
α = 33.93°, β = 33.93°, γ = 33.93°
Fractional positions:
S1 0.256 0.256 0.256
S2 0.744 0.744 0.744
Na1 0.500 0.500 0.500
Ce1 0.000 0.000 0.000


(9)
Material: NaCeS2
Method: DFT, PBE
State: relaxed

Summary:
Magnetic moment ... 0.93 μB/cell
Uncorrected energy ... -5.5581 eV/atom

a = 4.085 Å, b = 4.085 Å, c = 5.597 Å
α = 90.00°, β = 90.00°, γ = 90.00°
Fractional positions:
S1 0.000 0.000 0.500
S2 0.500 0.500 0.000
Na1 0.000 0.000 0.000
Ce1 0.500 0.500 0.500


(10)
Material: NaCeS2
Method: DFT, PBE
State: relaxed

Summary:
Magnetic moment ... 2.00 μB/cell
Uncorrected energy ... -5.6051 eV/atom

a = 7.208 Å, b = 7.208 Å, c = 7.208 Å
α = 133.28°, β = 133.28°, γ = 68.22°
Fractional positions:
S1 0.264 0.264 0.000
S2 0.736 0.736 0.000
S3 0.014 0.514 0.500
S4 0.486 0.986 0.500
Ce1 0.500 0.500 0.000
Ce2 0.250 0.750 0.500
Na1 0.000 0.000 0.000
Na2 0.750 0.250 0.500


(11)
Material: NaCeTl2
Method: DFT, PBE
State: relaxed

Summary:
Uncorrected energy ... -3.1961 eV/atom

a = 5.434 Å, b = 5.434 Å, c = 5.434 Å
α = 60.00°, β = 60.00°, γ = 60.00°
Fractional positions:
Ce1 0.500 0.500 0.500
Tl1 0.750 0.750 0.750
Tl2 0.250 0.250 0.250
Na1 0.000 0.000 0.000


Number 1: ΔE_f -2703 meV per atom. Number 2: ΔE_f -3198 meV per atom. Number 3: ΔE_f -2266 meV per atom. Number 4: ΔE_f -2886 meV per atom. Number 5: ΔE_f -2403 meV per atom. Number 6: ΔE_f -3000 meV per atom. Number 7: ΔE_f -1028 meV per atom. Number 8: ΔE_f -1999 meV per atom. Number 9: ΔE_f -1927 meV per atom. Number 10: ΔE_f -1975 meV per atom. Number 11: ΔE_f -201 meV per atom.